No. 1
Na2ZnPO12 | the Materials Project database | PBE-GGA | relaxed; magnetic moment = 9.0 μB per formula unit
1.0
21.310 0.000 0.000
0.000 6.548 0.000
0.000 1.045 7.611
O P Zn Na
48 4 4 8
Cartesian
7.072 4.867 1.870
3.583 1.593 1.870
0.946 5.075 3.932
16.269 1.652 3.530
20.362 0.957 0.692
9.323 2.923 3.594
12.008 1.482 6.177
4.046 5.717 4.781
1.353 2.837 1.434
17.264 1.876 2.830
15.774 4.640 7.501
5.537 2.953 0.109
5.118 6.227 0.109
14.238 2.726 5.740
19.237 5.536 2.278
11.601 5.792 3.679
2.073 2.057 5.333
13.870 0.218 0.205
7.440 7.375 7.405
19.957 4.756 6.177
6.609 2.443 4.781
19.978 1.396 4.017
11.987 4.670 4.017
14.171 6.778 5.514
9.707 3.362 6.919
1.849 7.134 7.607
9.302 6.111 1.434
3.516 4.089 2.097
20.365 2.518 3.679
0.948 6.636 6.919
19.461 0.459 0.004
12.505 3.733 0.004
12.728 2.262 2.278
8.582 5.331 5.333
17.727 6.000 5.740
11.603 4.231 0.692
5.614 2.667 4.081
5.041 5.941 4.081
7.139 0.815 2.097
1.332 6.197 3.594
9.710 1.801 3.932
15.696 4.926 3.530
8.806 3.860 7.607
3.215 4.101 7.405
17.794 3.504 5.514
14.701 5.150 2.830
16.192 1.366 7.501
18.095 3.492 0.205
2.867 2.873 1.331
18.443 4.720 6.280
13.522 1.446 6.280
7.788 6.147 1.331
16.124 2.990 6.383
5.186 4.603 1.228
5.469 1.329 1.228
15.841 6.264 6.383
0.462 3.503 6.090
10.193 6.777 6.090
11.117 0.816 1.521
4.125 2.283 6.299
17.185 5.310 1.311
6.530 5.557 6.299
20.848 4.090 1.521
14.780 2.036 1.311

***

No. 2
Density functional theory data (PBE-GGA) for H after structural relaxation.

Cell and atoms, written as POSCAR:
```
H
1.0
0.297 0.862 2.443
-1.956 0.918 -1.459
-1.545 -1.917 0.864
H
2
Cartesian
-0.643 0.886 0.814
-1.015 0.895 0.169
```

***

How do the records compare in formation energy from the elements? In the order shown, they have -0.874; 0.052 eV per atom.
How do the records compare in total energy? In the order shown, they have -322.99; -6.68 eV for the cell shown.